[1]
Here is a relaxed structure of Rb2Cd2S3O12 from the Materials Project database. Energies are from PBE.

The structure in POSCAR format:
```
Rb2Cd2S3O12
1.0
-7.478 -5.888 4.772
-0.288 -6.460 -8.421
7.563 -6.158 4.465
Rb Cd S O
8 8 12 48
Direct
0.934 0.046 0.209
0.066 0.546 0.791
0.564 0.166 0.694
0.436 0.666 0.306
0.806 0.805 0.575
0.194 0.305 0.425
0.677 0.399 0.055
0.323 0.899 0.945
0.901 0.195 0.851
0.099 0.695 0.149
0.573 0.035 0.340
0.427 0.535 0.660
0.845 0.434 0.418
0.155 0.934 0.582
0.666 0.756 0.908
0.334 0.256 0.092
0.527 0.342 0.369
0.473 0.842 0.631
0.892 0.140 0.533
0.108 0.640 0.467
0.617 0.082 0.021
0.383 0.582 0.979
0.785 0.703 0.217
0.215 0.203 0.783
0.021 0.379 0.127
0.979 0.879 0.873
0.264 0.977 0.281
0.736 0.477 0.719
0.662 0.110 0.149
0.338 0.610 0.851
0.402 0.939 0.257
0.598 0.439 0.743
0.500 0.214 0.425
0.500 0.714 0.575
0.752 0.655 0.094
0.248 0.155 0.906
0.001 0.510 0.080
0.999 0.010 0.920
0.908 0.763 0.225
0.092 0.263 0.775
0.156 0.358 0.151
0.844 0.858 0.849
0.852 0.107 0.663
0.148 0.607 0.337
0.788 0.116 0.447
0.212 0.616 0.553
0.720 0.893 0.341
0.280 0.393 0.659
0.188 0.891 0.194
0.812 0.391 0.806
0.663 0.354 0.340
0.337 0.854 0.660
0.711 0.132 0.929
0.289 0.632 0.071
0.931 0.276 0.528
0.069 0.776 0.472
0.596 0.946 0.002
0.404 0.446 0.998
0.497 0.151 0.996
0.503 0.651 0.004
0.456 0.356 0.250
0.544 0.856 0.750
0.762 0.612 0.319
0.238 0.112 0.681
0.485 0.441 0.457
0.515 0.941 0.543
0.971 0.286 0.036
0.029 0.786 0.964
0.683 0.812 0.234
0.317 0.312 0.766
0.004 0.062 0.495
0.996 0.562 0.505
0.249 0.111 0.228
0.751 0.611 0.772
0.950 0.357 0.247
0.050 0.857 0.753
```

Space group ... P2_1 (4)
E (MP2020) ... -5.73 eV per atom
Crystal system ... monoclinic
Energy relative to the elements ... -1.75 eV/atom

[2]
Here is a relaxed structure of Rb2Cd2S3O12 from the Materials Project database. Energies are from PBE.

The structure in POSCAR format:
```
Rb2Cd2S3O12
1.0
-9.012 4.131 -3.885
3.576 -1.451 -9.839
-4.453 -10.059 -0.366
Rb Cd S O
8 8 12 48
Direct
0.592 0.939 0.324
0.856 0.288 0.472
0.092 0.061 0.676
0.716 0.561 0.834
0.445 0.194 0.974
0.945 0.806 0.026
0.356 0.712 0.528
0.216 0.439 0.166
0.800 0.181 0.089
0.004 0.678 0.433
0.063 0.412 0.817
0.563 0.588 0.183
0.247 0.095 0.303
0.747 0.905 0.697
0.300 0.819 0.911
0.504 0.322 0.567
0.874 0.477 0.165
0.685 0.623 0.486
0.614 0.876 0.990
0.767 0.244 0.786
0.267 0.756 0.214
0.934 0.963 0.346
0.434 0.037 0.654
0.539 0.282 0.270
0.114 0.124 0.010
0.374 0.523 0.835
0.039 0.718 0.730
0.185 0.377 0.514
0.668 0.734 0.564
0.634 0.772 0.082
0.892 0.297 0.748
0.269 0.894 0.219
0.360 0.944 0.723
0.156 0.172 0.131
0.079 0.762 0.599
0.611 0.190 0.188
0.754 0.520 0.107
0.853 0.918 0.463
0.235 0.717 0.087
0.364 0.656 0.784
0.608 0.516 0.536
0.134 0.228 0.918
0.769 0.106 0.781
0.172 0.696 0.297
0.978 0.087 0.017
0.962 0.434 0.045
0.168 0.266 0.436
0.965 0.532 0.947
0.478 0.913 0.983
0.864 0.344 0.216
0.554 0.990 0.612
0.938 0.837 0.288
0.254 0.480 0.893
0.735 0.283 0.913
0.846 0.018 0.555
0.672 0.304 0.703
0.346 0.982 0.445
0.901 0.754 0.747
0.320 0.420 0.518
0.656 0.828 0.869
0.353 0.082 0.537
0.860 0.056 0.277
0.392 0.703 0.252
0.579 0.238 0.401
0.401 0.246 0.253
0.108 0.484 0.464
0.190 0.014 0.974
0.054 0.010 0.388
0.143 0.342 0.640
0.820 0.580 0.482
0.438 0.163 0.712
0.690 0.986 0.026
0.111 0.810 0.812
0.643 0.658 0.360
0.465 0.468 0.053
0.462 0.566 0.955
```

Space group ... P2_1 (4)
E (MP2020) ... -5.44 eV per atom
Crystal system ... monoclinic
Energy relative to the elements ... -1.46 eV/atom

[3]
Here is a relaxed structure of Rb2Cd2S3O12 from the Materials Project database. Energies are from PBE.

The structure in POSCAR format:
```
Rb2Cd2S3O12
1.0
-9.955 0.961 -3.496
1.805 -7.547 -7.214
-3.145 -7.374 6.928
Rb Cd S O
8 8 12 48
Direct
0.438 0.938 0.562
0.562 0.438 0.938
0.698 0.802 0.198
0.938 0.562 0.438
0.302 0.302 0.302
0.198 0.698 0.802
0.802 0.198 0.698
0.062 0.062 0.062
0.419 0.081 0.919
0.919 0.419 0.081
0.081 0.919 0.419
0.581 0.581 0.581
0.164 0.336 0.664
0.336 0.664 0.164
0.836 0.836 0.836
0.664 0.164 0.336
0.374 0.976 0.236
0.874 0.524 0.764
0.626 0.476 0.264
0.524 0.764 0.874
0.264 0.626 0.476
0.764 0.874 0.524
0.976 0.236 0.374
0.236 0.374 0.976
0.476 0.264 0.626
0.126 0.024 0.736
0.736 0.126 0.024
0.024 0.736 0.126
0.337 0.004 0.104
0.837 0.496 0.896
0.663 0.504 0.396
0.496 0.896 0.837
0.396 0.663 0.504
0.896 0.837 0.496
0.004 0.104 0.337
0.104 0.337 0.004
0.504 0.396 0.663
0.996 0.604 0.163
0.604 0.163 0.996
0.163 0.996 0.604
0.262 0.994 0.319
0.762 0.506 0.681
0.738 0.494 0.181
0.506 0.681 0.762
0.181 0.738 0.494
0.681 0.762 0.506
0.252 0.576 0.344
0.994 0.319 0.262
0.494 0.181 0.738
0.006 0.819 0.238
0.819 0.238 0.006
0.238 0.006 0.819
0.424 0.844 0.248
0.924 0.656 0.752
0.576 0.344 0.252
0.656 0.752 0.924
0.027 0.935 0.780
0.780 0.027 0.935
0.935 0.780 0.027
0.565 0.220 0.527
0.280 0.473 0.065
0.065 0.280 0.473
0.720 0.973 0.435
0.220 0.527 0.565
0.435 0.720 0.973
0.527 0.565 0.220
0.973 0.435 0.720
0.473 0.065 0.280
0.076 0.156 0.748
0.748 0.076 0.156
0.156 0.748 0.076
0.344 0.252 0.576
0.248 0.424 0.844
0.844 0.248 0.424
0.752 0.924 0.656
0.319 0.262 0.994
```

Space group ... P2_13 (198)
E (MP2020) ... -5.98 eV per atom
Crystal system ... cubic
Energy relative to the elements ... -2.01 eV/atom

[4]
Here is a relaxed structure of Rb2Cd2S3O12 from the Materials Project database. Energies are from PBE.

The structure in POSCAR format:
```
Rb2Cd2S3O12
1.0
10.554 0.000 0.000
0.000 10.780 0.000
0.000 0.095 10.841
Rb Cd S O
8 8 12 48
Direct
0.947 0.824 0.055
0.447 0.176 0.945
0.834 0.330 0.433
0.334 0.670 0.567
0.221 0.430 0.172
0.721 0.570 0.828
0.615 0.927 0.293
0.115 0.073 0.707
0.808 0.179 0.078
0.308 0.821 0.922
0.994 0.670 0.438
0.494 0.330 0.562
0.571 0.585 0.166
0.071 0.415 0.834
0.225 0.082 0.333
0.725 0.918 0.667
0.673 0.626 0.488
0.173 0.374 0.512
0.887 0.470 0.123
0.387 0.530 0.877
0.920 0.961 0.375
0.420 0.039 0.625
0.265 0.755 0.229
0.765 0.245 0.771
0.622 0.875 0.979
0.122 0.125 0.021
0.022 0.744 0.748
0.522 0.256 0.252
0.911 0.829 0.329
0.411 0.171 0.671
0.072 0.724 0.621
0.572 0.276 0.379
0.809 0.584 0.499
0.309 0.416 0.501
0.290 0.890 0.254
0.790 0.110 0.746
0.486 0.912 0.999
0.986 0.088 0.001
0.213 0.747 0.101
0.713 0.253 0.899
0.642 0.839 0.848
0.142 0.161 0.152
0.876 0.340 0.185
0.376 0.660 0.815
0.503 0.376 0.186
0.003 0.624 0.814
0.409 0.859 0.424
0.909 0.141 0.576
0.114 0.824 0.816
0.614 0.176 0.184
0.642 0.651 0.356
0.142 0.349 0.644
0.878 0.045 0.275
0.378 0.955 0.725
0.752 0.512 0.090
0.252 0.488 0.910
0.051 0.987 0.417
0.551 0.013 0.583
0.831 0.970 0.483
0.331 0.030 0.517
0.653 0.740 0.561
0.153 0.260 0.439
0.384 0.683 0.242
0.884 0.317 0.758
0.590 0.526 0.540
0.090 0.474 0.460
0.705 0.981 0.013
0.205 0.019 0.987
0.170 0.702 0.316
0.670 0.298 0.684
0.948 0.446 0.999
0.448 0.554 0.001
0.898 0.811 0.745
0.398 0.189 0.255
0.655 0.767 0.060
0.155 0.233 0.940
```

Space group ... P2_1 (4)
E (MP2020) ... -5.81 eV per atom
Crystal system ... monoclinic
Energy relative to the elements ... -1.83 eV/atom